## Hf2N2O (PBE-GGA)

Data for a geometry-optimized Hf2N2O structure.

a b c (Å): 8.7243 8.7344 8.7233
angles (deg): 109.29 109.42 109.58
Element x y z (fractional)
Hf: 0.7519 0.9674 0.2074
Hf: 0.9957 0.9885 0.9900
Hf: 0.0299 0.7755 0.2437
Hf: 0.5285 0.2790 0.2538
Hf: 0.5022 0.5027 0.0032
Hf: 0.4892 0.9914 0.4888
Hf: 0.2589 0.5419 0.2897
Hf: 0.2972 0.2667 0.5477
Hf: 0.7124 0.7464 0.4616
Hf: 0.7856 0.2513 0.0445
Hf: 0.2059 0.7473 0.9598
Hf: 0.7498 0.4622 0.7157
Hf: 0.0103 0.4990 0.5009
Hf: 0.9729 0.2165 0.7501
Hf: 0.4662 0.7164 0.7440
Hf: 0.2408 0.0281 0.7872
N: 0.7318 0.9687 0.9608
N: 0.7571 0.2262 0.2742
N: 0.4525 0.4820 0.2248
N: 0.7720 0.7344 0.2413
N: 0.4931 0.2291 0.4606
N: 0.2288 0.2710 0.7637
N: 0.9865 0.5317 0.2572
N: 0.5130 0.7769 0.5452
N: 0.9531 0.7291 0.9674
N: 0.5485 0.5154 0.7785
N: 0.2254 0.4499 0.4843
N: 0.2790 0.7672 0.2280
N: 0.9616 0.9506 0.7260
N: 0.2403 0.7730 0.7248
N: 0.0062 0.4628 0.7370
N: 0.2723 0.0375 0.0432
O: 0.5393 0.2644 0.9837
O: 0.7391 0.0165 0.4695
O: 0.0412 0.2735 0.0276
O: 0.7248 0.2348 0.7749
O: 0.7726 0.5495 0.5165
O: 0.0371 0.0480 0.2766
O: 0.4660 0.7393 0.0145
O: 0.2613 0.9880 0.5316

space group	No. 1
raw total energy	-422.15	eV for the cell shown



## Hf2N2O (PBE-GGA)

Data for a geometry-optimized Hf2N2O structure.

a b c (Å): 3.0956 8.4195 8.4822
angles (deg): 90.00 90.00 90.00
Element x y z (fractional)
Hf: 0.2500 0.1787 0.0039
Hf: 0.2500 0.5014 0.1815
Hf: 0.7500 0.0014 0.3185
Hf: 0.7500 0.6787 0.4961
Hf: 0.2500 0.3213 0.5039
Hf: 0.2500 0.9986 0.6815
Hf: 0.7500 0.4986 0.8185
Hf: 0.7500 0.8213 0.9961
N: 0.7500 0.3665 0.0472
N: 0.2500 0.9450 0.1248
N: 0.7500 0.4450 0.3752
N: 0.2500 0.8665 0.4528
N: 0.7500 0.1335 0.5472
N: 0.2500 0.5550 0.6248
N: 0.7500 0.0550 0.8752
N: 0.2500 0.6335 0.9528
O: 0.7500 0.6900 0.2252
O: 0.2500 0.1900 0.2748
O: 0.7500 0.8100 0.7252
O: 0.2500 0.3100 0.7748

space group	No. 62
raw total energy	-209.02	eV for the cell shown



## HfPbN2 (PBE-GGA)

Data for a geometry-optimized HfPbN2 structure.

a b c (Å): 4.0406 4.0406 8.0617
angles (deg): 90.00 90.00 90.00
Element x y z (fractional)
Hf: 0.7500 0.7500 0.5960
Hf: 0.2500 0.2500 0.4040
Pb: 0.7500 0.7500 0.1352
Pb: 0.2500 0.2500 0.8648
N: 0.7500 0.2500 0.5000
N: 0.2500 0.7500 0.5000
N: 0.7500 0.7500 0.8489
N: 0.2500 0.2500 0.1511

space group	No. 129
raw total energy	-66.44	eV for the cell shown



## Hf2SN2 (PBE-GGA)

Data for a geometry-optimized Hf2SN2 structure.

a b c (Å): 6.3450 6.3450 6.3450
angles (deg): 147.88 141.79 50.76
Element x y z (fractional)
Hf: 0.8257 0.3257 0.5000
Hf: 0.1743 0.6743 0.5000
S: 0.0000 0.0000 0.0000
N: 0.7206 0.7206 0.0000
N: 0.2794 0.2794 0.0000

space group	No. 71
raw total energy	-49.38	eV for the cell shown



Ordered energy of formation results: -2384 -2281 -900 -1975; unit meV/atom.